# ThSiPt

Crystalline ThSiPt at its relaxed geometry (PBE, the Materials Project database).

```
6
Lattice="4.2607 0.0000 0.0000 0.0000 3.9485 0.0000 2.1303 1.9743 7.6773" Properties=species:S:1:pos:R:3 pbc="T T T"
Th 4.2607 1.9743 3.8012
Th 4.2607 3.9485 0.0375
Si 2.1303 3.9485 2.5321
Si 2.1303 1.9743 1.3066
Pt 2.1303 3.9485 4.9071
Pt 4.2607 3.9485 6.6089
```

* DFT formation energy: -97.9 kJ/mol of atoms
* volume: 129 Å³/cell